1.
VASP calculation (PBE-GGA) on an optimized crystal structure of LuRh2.

Calculated values
SG = Fd-3m

Lattice parameters (Å, degrees): 5.296 5.296 5.296 60.00 60.00 60.00
Sites, in units of the cell vectors:
1 Lu 0.500 0.500 0.500
2 Lu 0.750 0.750 0.750
3 Rh 0.125 0.125 0.125
4 Rh 0.625 0.125 0.125
5 Rh 0.125 0.625 0.125
6 Rh 0.125 0.125 0.625


2.
VASP calculation (PBE-GGA) on an optimized crystal structure of SbO2.

Calculated values
magnetization = 0.000 μB/atom
SG = P1

Lattice parameters (Å, degrees): 6.302 7.481 15.695 87.53 87.12 65.23
Sites, in units of the cell vectors:
1 Sb 0.341 0.324 0.184
2 Sb 0.402 0.721 0.167
3 Sb 0.996 0.012 0.494
4 Sb 0.853 0.324 0.184
5 Sb 0.033 0.416 0.480
6 Sb 0.797 0.864 0.657
7 Sb 0.794 0.908 0.279
8 Sb 0.727 0.558 0.823
9 Sb 0.481 0.020 0.497
10 Sb 0.661 0.151 0.821
11 Sb 0.109 0.743 0.846
12 Sb 0.177 0.118 0.948
13 O 0.720 0.578 0.116
14 O 0.514 0.475 0.250
15 O 0.659 0.214 0.123
16 O 0.230 0.583 0.118
17 O 0.361 0.275 0.436
18 O 0.468 0.083 0.262
19 O 0.153 0.162 0.562
20 O 0.039 0.422 0.255
21 O 0.160 0.217 0.114
22 O 0.312 0.890 0.438
23 O 0.875 0.266 0.432
24 O 0.955 0.079 0.259
25 O 0.978 0.946 0.746
26 O 0.075 0.785 0.578
27 O 0.691 0.112 0.572
28 O 0.821 0.938 0.906
29 O 0.789 0.923 0.421
30 O 0.884 0.602 0.715
31 O 0.538 0.029 0.738
32 O 0.597 0.800 0.581
33 O 0.904 0.264 0.862
34 O 0.316 0.863 0.882
35 O 0.549 0.426 0.771
36 O 0.374 0.244 0.895


Total DFT energy (no corrections) / eV/f.u.: -21.554; -17.656